! CeSiPt3, optimized geometry, DFT meta-GGA r2SCAN; values from VASP
&SYSTEM
  ibrav = 0, nat = 5, ntyp = 3
/
ATOMIC_SPECIES
Si 28.09 Si.upf
Pt 195.08 Pt.upf
Ce 140.12 Ce.upf
CELL_PARAMETERS angstrom
4.077 0.000 0.000
0.000 4.077 0.000
0.000 0.000 5.493
ATOMIC_POSITIONS crystal
Si 0.000 0.000 0.011
Pt 0.500 0.000 0.238
Pt 0.000 0.500 0.238
Pt 0.000 0.000 0.592
Ce 0.500 0.500 0.722
! space-group type = P4mm

---

! CeSi2Pt, optimized geometry, DFT meta-GGA r2SCAN; values from VASP
&SYSTEM
  ibrav = 0, nat = 8, ntyp = 3
/
ATOMIC_SPECIES
Si 28.09 Si.upf
Pt 195.08 Pt.upf
Ce 140.12 Ce.upf
CELL_PARAMETERS angstrom
4.211 0.000 0.000
0.000 4.143 -1.063
0.000 0.016 8.667
ATOMIC_POSITIONS crystal
Si 0.750 0.749 0.498
Si 0.250 0.251 0.502
Si 0.750 0.036 0.071
Si 0.250 0.964 0.929
Pt 0.750 0.179 0.358
Pt 0.250 0.821 0.642
Ce 0.750 0.396 0.792
Ce 0.250 0.604 0.208
! space-group type = Cmcm

---

! CeSiPt, optimized geometry, DFT meta-GGA r2SCAN; values from VASP
&SYSTEM
  ibrav = 0, nat = 6, ntyp = 3
/
ATOMIC_SPECIES
Ce 140.12 Ce.upf
Pt 195.08 Pt.upf
Si 28.09 Si.upf
CELL_PARAMETERS angstrom
-2.087 2.088 7.294
2.087 -2.088 7.294
2.087 2.088 -7.294
ATOMIC_POSITIONS crystal
Ce 0.999 0.999 0.000
Ce 0.749 0.249 0.500
Pt 0.586 0.586 0.000
Pt 0.336 0.836 0.500
Si 0.419 0.419 0.000
Si 0.169 0.669 0.500
! space-group type = I4_1md

---

! RbCeTe2, optimized geometry, DFT meta-GGA r2SCAN; values from VASP
&SYSTEM
  ibrav = 0, nat = 4, ntyp = 3
/
ATOMIC_SPECIES
Te 127.60 Te.upf
Ce 140.12 Ce.upf
Rb 85.47 Rb.upf
CELL_PARAMETERS angstrom
8.595 -2.355 -0.010
8.595 2.355 -0.010
7.954 0.000 4.018
ATOMIC_POSITIONS crystal
Te 0.735 0.735 0.735
Te 0.265 0.265 0.265
Ce 0.000 0.000 0.000
Rb 0.500 0.500 0.500
! space-group type = R-3m

---

! CeRe4Si2, optimized geometry, DFT meta-GGA r2SCAN; values from VASP
&SYSTEM
  ibrav = 0, nat = 7, ntyp = 3
/
ATOMIC_SPECIES
Si 28.09 Si.upf
Ce 140.12 Ce.upf
Re 186.21 Re.upf
CELL_PARAMETERS angstrom
3.993 5.287 2.810
-4.066 -5.787 1.327
3.337 -2.398 -0.232
ATOMIC_POSITIONS crystal
Si 0.411 0.589 0.500
Si 0.589 0.411 0.500
Ce 0.000 0.000 0.000
Re 0.189 0.811 0.500
Re 0.696 0.304 0.000
Re 0.811 0.189 0.500
Re 0.304 0.696 0.000
! space-group type = Cmmm

---

! CeSbRh, optimized geometry, DFT meta-GGA r2SCAN; values from VASP
&SYSTEM
  ibrav = 0, nat = 12, ntyp = 3
/
ATOMIC_SPECIES
Sb 121.76 Sb.upf
Rh 102.91 Rh.upf
Ce 140.12 Ce.upf
CELL_PARAMETERS angstrom
4.666 0.000 0.000
0.000 7.435 0.000
0.000 0.000 7.811
ATOMIC_POSITIONS crystal
Sb 0.250 0.685 0.591
Sb 0.750 0.315 0.409
Sb 0.750 0.815 0.091
Sb 0.250 0.185 0.909
Rh 0.750 0.204 0.080
Rh 0.750 0.704 0.420
Rh 0.250 0.796 0.920
Rh 0.250 0.296 0.580
Ce 0.250 0.016 0.300
Ce 0.750 0.984 0.700
Ce 0.250 0.516 0.200
Ce 0.750 0.484 0.800
! space-group type = Pnma

---

! CeSi2Rh2, optimized geometry, DFT meta-GGA r2SCAN; values from VASP
&SYSTEM
  ibrav = 0, nat = 5, ntyp = 3
/
ATOMIC_SPECIES
Rh 102.91 Rh.upf
Ce 140.12 Ce.upf
Si 28.09 Si.upf
CELL_PARAMETERS angstrom
-2.716 1.362 2.750
0.402 -3.483 2.122
4.900 3.122 0.238
ATOMIC_POSITIONS crystal
Rh 0.750 0.250 0.500
Rh 0.250 0.750 0.500
Ce 0.000 0.000 0.000
Si 0.376 0.376 0.751
Si 0.624 0.624 0.249
! space-group type = I4/mmm

---

! CeSiRh2, optimized geometry, DFT meta-GGA r2SCAN; values from VASP
&SYSTEM
  ibrav = 0, nat = 8, ntyp = 3
/
ATOMIC_SPECIES
Rh 102.91 Rh.upf
Ce 140.12 Ce.upf
Si 28.09 Si.upf
CELL_PARAMETERS angstrom
3.917 0.000 -0.893
0.000 4.037 0.000
0.044 0.000 9.231
ATOMIC_POSITIONS crystal
Rh 0.549 0.250 0.097
Rh 0.451 0.750 0.903
Rh 0.250 0.250 0.500
Rh 0.750 0.750 0.500
Ce 0.099 0.750 0.197
Ce 0.901 0.250 0.803
Si 0.320 0.750 0.641
Si 0.680 0.250 0.359
! space-group type = Cmcm

---

! CeSi2Rh3, optimized geometry, DFT meta-GGA r2SCAN; values from VASP
&SYSTEM
  ibrav = 0, nat = 12, ntyp = 3
/
ATOMIC_SPECIES
Rh 102.91 Rh.upf
Si 28.09 Si.upf
Ce 140.12 Ce.upf
CELL_PARAMETERS angstrom
3.626 -2.080 5.172
-4.189 2.462 4.539
-1.012 -4.534 -4.759
ATOMIC_POSITIONS crystal
Rh 0.500 0.500 0.500
Rh 0.715 0.000 0.715
Rh 0.285 0.000 0.285
Rh 0.215 0.500 0.715
Rh 0.785 0.500 0.285
Rh 0.000 0.500 0.000
Si 0.578 0.382 0.804
Si 0.078 0.274 0.196
Si 0.422 0.618 0.196
Si 0.922 0.726 0.804
Ce 0.750 0.040 0.290
Ce 0.250 0.960 0.710
! space-group type = Imma

---

! CeY4Rh5, optimized geometry, DFT meta-GGA r2SCAN; values from VASP
&SYSTEM
  ibrav = 0, nat = 10, ntyp = 3
/
ATOMIC_SPECIES
Rh 102.91 Rh.upf
Y 88.91 Y.upf
Ce 140.12 Ce.upf
CELL_PARAMETERS angstrom
-2.632 0.067 2.155
-1.424 -2.607 -1.659
8.301 -11.208 10.487
ATOMIC_POSITIONS crystal
Rh 0.500 0.500 0.099
Rh 0.500 0.500 0.901
Rh 0.500 0.500 0.301
Rh 0.500 0.500 0.500
Rh 0.500 0.500 0.699
Y 0.000 0.000 0.401
Y 0.000 0.000 0.202
Y 0.000 0.000 0.599
Y 0.000 0.000 0.798
Ce 0.000 0.000 0.000
! space-group type = P4/mmm

---

! YbCeRh2, optimized geometry, DFT meta-GGA r2SCAN; values from VASP
&SYSTEM
  ibrav = 0, nat = 4, ntyp = 3
/
ATOMIC_SPECIES
Rh 102.91 Rh.upf
Ce 140.12 Ce.upf
Yb 173.04 Yb.upf
CELL_PARAMETERS angstrom
0.000 3.427 3.427
3.427 0.000 3.427
3.427 3.427 0.000
ATOMIC_POSITIONS crystal
Rh 0.750 0.750 0.750
Rh 0.250 0.250 0.250
Ce 0.500 0.500 0.500
Yb 0.000 0.000 0.000
! space-group type = Fm-3m

---

! CeSi2Ru2, optimized geometry, DFT meta-GGA r2SCAN; values from VASP
&SYSTEM
  ibrav = 0, nat = 5, ntyp = 3
/
ATOMIC_SPECIES
Si 28.09 Si.upf
Ru 101.07 Ru.upf
Ce 140.12 Ce.upf
CELL_PARAMETERS angstrom
3.905 0.000 -1.538
-0.606 3.858 -1.538
-0.015 -0.018 5.686
ATOMIC_POSITIONS crystal
Si 0.635 0.635 0.269
Si 0.365 0.365 0.731
Ru 0.250 0.750 0.500
Ru 0.750 0.250 0.500
Ce 0.000 0.000 0.000
! space-group type = I4/mmm

---

Number 1: VASP energy -199.85 eV per cell. Number 2: VASP energy -208.28 eV per cell. Number 3: VASP energy -189.48 eV per cell. Number 4: VASP energy -102.41 eV per cell. Number 5: VASP energy -261.51 eV per cell. Number 6: VASP energy -335.86 eV per cell. Number 7: VASP energy -102.30 eV per cell. Number 8: VASP energy -184.33 eV per cell. Number 9: VASP energy -254.84 eV per cell. Number 10: VASP energy -241.21 eV per cell. Number 11: VASP energy -118.95 eV per cell. Number 12: VASP energy -103.92 eV per cell.